[1]
DFT (PBE with a Hubbard U) results for a relaxed KMn2O4 crystal.

Results
Energy above the most stable polymorph in this dataset, meV per atom: 18

Unit cell a=2.952 b=6.572 c=10.642 alpha=87.31 beta=89.98 gamma=77.34
Space group P1 (No. 1)
Symmetry-distinct sites (fractional):
K: 0.000 0.000 0.000
K: 0.027 0.961 0.444
Mn: 0.254 0.504 0.049
Mn: 0.288 0.438 0.545
Mn: 0.761 0.494 0.301
Mn: 0.785 0.442 0.797
O: 0.177 0.668 0.243
O: 0.220 0.575 0.699
O: 0.347 0.320 0.374
O: 0.354 0.299 0.887
O: 0.679 0.655 0.966
O: 0.704 0.612 0.469
O: 0.826 0.358 0.144
O: 0.870 0.270 0.603


[2]
DFT (PBE with a Hubbard U) results for a relaxed K2MnP2O7 crystal.

Unit cell a=9.698 b=5.604 c=14.050 alpha=90.00 beta=117.47 gamma=90.00
Space group P2_1/c (No. 14)
Symmetry-distinct sites (fractional):
K: 0.009 0.233 0.139
K: 0.465 0.227 0.323
Mn: 0.267 0.242 0.518
P: 0.169 0.741 0.138
P: 0.327 0.725 0.379
O: 0.008 0.229 0.430
O: 0.188 0.700 0.759
O: 0.244 0.545 0.612
O: 0.251 0.503 0.144
O: 0.281 0.027 0.897
O: 0.309 0.586 0.951
O: 0.480 0.732 0.372


[3]
DFT (PBE with a Hubbard U) results for a relaxed K2Sr3Mn2P6O21 crystal.

Unit cell a=13.440 b=5.414 c=14.018 alpha=90.00 beta=99.67 gamma=90.00
Space group P2_1 (No. 4)
Symmetry-distinct sites (fractional):
K: 0.059 0.000 0.415
K: 0.066 0.459 0.898
Sr: 0.254 0.005 0.147
Sr: 0.277 0.450 0.664
Sr: 0.491 0.471 0.249
Mn: 0.273 0.455 0.383
Mn: 0.288 0.992 0.875
P: 0.093 0.455 0.192
P: 0.094 0.947 0.708
P: 0.310 0.497 0.020
P: 0.311 0.950 0.528
P: 0.424 0.952 0.369
P: 0.441 0.493 0.876
O: 0.026 0.938 0.796
O: 0.034 0.056 0.616
O: 0.096 0.301 0.101
O: 0.116 0.730 0.184
O: 0.127 0.677 0.698
O: 0.155 0.328 0.281
O: 0.184 0.113 0.755
O: 0.249 0.722 0.489
O: 0.252 0.730 0.979
O: 0.257 0.195 0.497
O: 0.259 0.258 0.979
O: 0.330 0.500 0.130
O: 0.344 0.937 0.637
O: 0.359 0.736 0.321
O: 0.376 0.198 0.328
O: 0.377 0.704 0.822
O: 0.397 0.245 0.833
O: 0.417 0.947 0.483
O: 0.423 0.506 0.987
O: 0.448 0.023 0.127
O: 0.466 0.425 0.641


[4]
DFT (PBE with a Hubbard U) results for a relaxed K4Ti3MnP6O24 crystal.

Unit cell a=10.054 b=10.023 c=10.057 alpha=90.00 beta=90.03 gamma=90.00
Space group P2_1 (No. 4)
Symmetry-distinct sites (fractional):
K: 0.042 0.000 0.194
K: 0.178 0.729 0.569
K: 0.310 0.361 0.063
K: 0.448 0.094 0.711
Ti: 0.160 0.385 0.412
Ti: 0.333 0.712 0.913
Ti: 0.392 0.936 0.357
Mn: 0.105 0.152 0.854
P: 0.021 0.837 0.873
P: 0.128 0.066 0.537
P: 0.211 0.674 0.230
P: 0.291 0.429 0.723
P: 0.384 0.020 0.043
P: 0.475 0.256 0.373
O: 0.008 0.494 0.483
O: 0.009 0.978 0.927
O: 0.046 0.327 0.270
O: 0.052 0.235 0.042
O: 0.072 0.732 0.243
O: 0.109 0.214 0.494
O: 0.171 0.796 0.854
O: 0.183 0.053 0.677
O: 0.209 0.329 0.799
O: 0.225 0.995 0.438
O: 0.227 0.538 0.304
O: 0.247 0.447 0.576
O: 0.254 0.653 0.082
O: 0.274 0.567 0.793
O: 0.286 0.095 0.957
O: 0.314 0.768 0.299
O: 0.330 0.302 0.352
O: 0.337 0.021 0.192
O: 0.403 0.873 0.999
O: 0.440 0.385 0.725
O: 0.449 0.776 0.760
O: 0.452 0.844 0.523
O: 0.478 0.108 0.420
O: 0.479 0.591 0.969


[5]
DFT (PBE with a Hubbard U) results for a relaxed KSrPrMnO6 crystal.

Results
Energy above the most stable polymorph in this dataset, meV per atom: 0

Unit cell a=8.432 b=8.462 c=8.476 alpha=90.00 beta=90.00 gamma=90.00
Space group Pnnn (No. 48, origin choice 2)
Symmetry-distinct sites (fractional):
K: 0.250 0.250 0.250
K: 0.250 0.750 0.250
Sr: 0.250 0.250 0.750
Sr: 0.250 0.750 0.750
Pr: 0.000 0.000 0.000
Mn: 0.000 0.000 0.500
O: 0.006 0.021 0.275
O: 0.018 0.724 0.016
O: 0.226 0.019 0.535


[6]
DFT (PBE with a Hubbard U) results for a relaxed KSrPrMnO6 crystal.

Results
Energy above the most stable polymorph in this dataset, meV per atom: 6

Unit cell a=8.469 b=8.469 c=8.469 alpha=90.00 beta=90.00 gamma=90.00
Space group F-43m (No. 216)
Symmetry-distinct sites (fractional):
K: 0.000 0.000 0.000
Sr: 0.000 0.000 0.500
Pr: 0.250 0.250 0.750
Mn: 0.250 0.250 0.250
O: 0.025 0.250 0.250


We obtain formation energy from the elements values of -1.950, -2.637, -2.923, -2.842, -2.311, -2.305 eV/atom for the records listed above, in that order.